(1)
This record from Materials Project describes a geometry-optimized Rb5P4O16 structure. The functional is PBE.

a = 29.5758 Å, b = 6.1306 Å, c = 10.7831 Å
α = 90.00°, β = 90.00°, γ = 90.00°
Positions (direct):
Rb 0.0577 0.2500 0.2066
Rb 0.0792 0.7500 0.5868
Rb 0.1190 0.2500 0.8257
Rb 0.1898 0.7500 0.2675
Rb 0.2206 0.7500 0.8476
Rb 0.2794 0.2500 0.3476
Rb 0.3102 0.2500 0.7675
Rb 0.3810 0.7500 0.3257
Rb 0.4208 0.2500 0.0868
Rb 0.4423 0.7500 0.7066
Rb 0.5577 0.2500 0.2934
Rb 0.5792 0.7500 0.9132
Rb 0.6190 0.2500 0.6743
Rb 0.6898 0.7500 0.2325
Rb 0.7206 0.7500 0.6524
Rb 0.7794 0.2500 0.1524
Rb 0.8102 0.2500 0.7325
Rb 0.8810 0.7500 0.1743
Rb 0.9208 0.2500 0.4132
Rb 0.9423 0.7500 0.7934
P 0.0030 0.2500 0.6816
P 0.0864 0.7500 0.9862
P 0.1546 0.2500 0.4919
P 0.2207 0.2500 0.0468
P 0.2793 0.7500 0.5468
P 0.3454 0.7500 0.9919
P 0.4136 0.2500 0.4862
P 0.4970 0.7500 0.1816
P 0.5030 0.2500 0.8184
P 0.5864 0.7500 0.5138
P 0.6546 0.2500 0.0081
P 0.7207 0.2500 0.4532
P 0.7793 0.7500 0.9532
P 0.8454 0.7500 0.5081
P 0.9136 0.2500 0.0138
P 0.9970 0.7500 0.3184
O 0.0118 0.2500 0.5392
O 0.0241 0.0433 0.7376
O 0.0241 0.4567 0.7376
O 0.0496 0.7500 0.3149
O 0.0580 0.5383 0.9855
O 0.0580 0.9617 0.9855
O 0.1032 0.2500 0.4605
O 0.1111 0.7500 0.1137
O 0.1205 0.7500 0.8781
O 0.1618 0.0399 0.5696
O 0.1618 0.4601 0.5696
O 0.1701 0.2500 0.0855
O 0.1828 0.2500 0.3728
O 0.2237 0.2500 0.9041
O 0.2414 0.0402 0.1030
O 0.2414 0.4598 0.1030
O 0.2586 0.5402 0.6030
O 0.2586 0.9598 0.6030
O 0.2763 0.7500 0.4041
O 0.3172 0.7500 0.8728
O 0.3299 0.7500 0.5855
O 0.3382 0.5399 0.0696
O 0.3382 0.9601 0.0696
O 0.3795 0.2500 0.3781
O 0.3889 0.2500 0.6137
O 0.3968 0.7500 0.9605
O 0.4420 0.0383 0.4855
O 0.4420 0.4617 0.4855
O 0.4504 0.2500 0.8149
O 0.4759 0.5433 0.2376
O 0.4759 0.9567 0.2376
O 0.4882 0.7500 0.0392
O 0.5118 0.2500 0.9608
O 0.5241 0.0433 0.7624
O 0.5241 0.4567 0.7624
O 0.5496 0.7500 0.1851
O 0.5580 0.5383 0.5145
O 0.5580 0.9617 0.5145
O 0.6032 0.2500 0.0395
O 0.6111 0.7500 0.3863
O 0.6205 0.7500 0.6219
O 0.6618 0.0399 0.9304
O 0.6618 0.4601 0.9304
O 0.6701 0.2500 0.4145
O 0.6828 0.2500 0.1272
O 0.7237 0.2500 0.5959
O 0.7414 0.0402 0.3970
O 0.7414 0.4598 0.3970
O 0.7586 0.5402 0.8970
O 0.7586 0.9598 0.8970
O 0.7763 0.7500 0.0959
O 0.8172 0.7500 0.6272
O 0.8299 0.7500 0.9145
O 0.8382 0.5399 0.4304
O 0.8382 0.9601 0.4304
O 0.8795 0.2500 0.1219
O 0.8889 0.2500 0.8863
O 0.8968 0.7500 0.5395
O 0.9420 0.0383 0.0145
O 0.9420 0.4617 0.0145
O 0.9504 0.2500 0.6851
O 0.9759 0.5433 0.2624
O 0.9759 0.9567 0.2624
O 0.9882 0.7500 0.4608

Calculated values
space-group type: Pnma
crystal system: orthorhombic
ΔH_f (0 K): -2127.6 meV per atom

(2)
This record from Materials Project describes a geometry-optimized NaCu structure. The functional is PBE.

a = 2.8366 Å, b = 2.8366 Å, c = 4.9604 Å
α = 90.00°, β = 90.00°, γ = 120.00°
Positions (direct):
Na 0.0000 0.0000 0.0000
Cu 0.3333 0.6667 0.5000

Calculated values
space-group type: P-6m2
crystal system: hexagonal
ΔH_f (0 K): 390.0 meV per atom

(3)
This record from Materials Project describes a geometry-optimized Na3Np structure. The functional is PBE.

a = 7.3622 Å, b = 7.3622 Å, c = 5.8855 Å
α = 90.00°, β = 90.00°, γ = 120.00°
Positions (direct):
Na 0.1599 0.3199 0.2500
Na 0.1599 0.8401 0.2500
Na 0.3199 0.1599 0.7500
Na 0.6801 0.8401 0.2500
Na 0.8401 0.1599 0.7500
Na 0.8401 0.6801 0.7500
Np 0.3333 0.6667 0.7500
Np 0.6667 0.3333 0.2500

Calculated values
space-group type: P6_3/mmc
crystal system: hexagonal
ΔH_f (0 K): 846.8 meV per atom

(4)
This record from Materials Project describes a geometry-optimized Sr14MnAs11 structure. The functional is PBE.

a = 16.1815 Å, b = 16.1815 Å, c = 16.1815 Å
α = 117.94°, β = 93.57°, γ = 117.97°
Positions (direct):
Sr 0.0000 0.0000 0.0000
Sr 0.0082 0.9708 0.6220
Sr 0.0424 0.6272 0.2740
Sr 0.0738 0.4521 0.8694
Sr 0.0777 0.2717 0.0036
Sr 0.0827 0.9521 0.3783
Sr 0.1233 0.4384 0.5007
Sr 0.1226 0.7529 0.1259
Sr 0.1270 0.2529 0.6303
Sr 0.1638 0.0790 0.2284
Sr 0.2033 0.7033 0.5000
Sr 0.2056 0.7371 0.8784
Sr 0.2210 0.9521 0.7217
Sr 0.2289 0.2369 0.8531
Sr 0.2304 0.4993 0.2783
Sr 0.2681 0.0742 0.9964
Sr 0.3149 0.9708 0.4980
Sr 0.3488 0.3862 0.3780
Sr 0.3497 0.5008 0.6459
Sr 0.3507 0.5790 0.9152
Sr 0.3532 0.7685 0.7260
Sr 0.3549 0.0008 0.1510
Sr 0.3586 0.2371 0.5314
Sr 0.3837 0.3758 0.1469
Sr 0.4377 0.9384 0.3151
Sr 0.4728 0.8169 0.5020
Sr 0.4780 0.2530 0.7710
Sr 0.4820 0.7071 0.2290
Sr 0.5000 0.5000 0.0000
Sr 0.5082 0.8862 0.0374
Sr 0.5424 0.2685 0.4153
Sr 0.5738 0.7045 0.6217
Sr 0.5777 0.5742 0.8061
Sr 0.5827 0.2045 0.1306
Sr 0.6233 0.1226 0.6849
Sr 0.6226 0.4967 0.3697
Sr 0.6270 0.9967 0.8741
Sr 0.6638 0.4355 0.0848
Sr 0.7033 0.2033 0.5000
Sr 0.7056 0.8272 0.4686
Sr 0.7210 0.9993 0.2689
Sr 0.7289 0.8758 0.9920
Sr 0.7304 0.4521 0.7311
Sr 0.7681 0.7717 0.1939
Sr 0.8149 0.3169 0.3441
Sr 0.8488 0.4708 0.9626
Sr 0.8497 0.2039 0.8490
Sr 0.8507 0.9355 0.7716
Sr 0.8532 0.1272 0.5847
Sr 0.8549 0.7039 0.3541
Sr 0.8586 0.3272 0.1216
Sr 0.8837 0.7369 0.0080
Sr 0.9377 0.6226 0.4993
Sr 0.9728 0.4708 0.6559
Sr 0.9780 0.2071 0.2250
Sr 0.9820 0.7530 0.7750
Mn 0.2273 0.6026 0.1253
Mn 0.4773 0.1020 0.8747
Mn 0.7273 0.6020 0.6247
Mn 0.9773 0.1026 0.3753
As 0.0169 0.1949 0.7715
As 0.0292 0.4554 0.3326
As 0.0333 0.4671 0.0597
As 0.0818 0.0085 0.8347
As 0.0914 0.8306 0.4898
As 0.1068 0.8613 0.0051
As 0.1228 0.6966 0.6674
As 0.1705 0.2398 0.4395
As 0.1739 0.2471 0.1653
As 0.1844 0.5072 0.7305
As 0.2396 0.1276 0.6379
As 0.2767 0.0072 0.3228
As 0.2841 0.7305 0.3188
As 0.2916 0.4733 0.0534
As 0.3003 0.7398 0.0693
As 0.3408 0.6016 0.5102
As 0.3563 0.3613 0.7546
As 0.4074 0.9736 0.9403
As 0.4117 0.9652 0.6812
As 0.4199 0.2382 0.9466
As 0.4233 0.2454 0.2285
As 0.4897 0.6017 0.3621
As 0.5169 0.7454 0.8221
As 0.5292 0.1966 0.5738
As 0.5333 0.4736 0.5662
As 0.5818 0.7471 0.0732
As 0.5914 0.1016 0.2608
As 0.6068 0.6017 0.2454
As 0.6228 0.9554 0.4262
As 0.6705 0.2310 0.9307
As 0.6739 0.5085 0.9268
As 0.6844 0.9540 0.6772
As 0.7396 0.1017 0.1120
As 0.7767 0.4540 0.2695
As 0.7841 0.4652 0.5536
As 0.7916 0.7382 0.8183
As 0.8003 0.7310 0.5605
As 0.8408 0.3306 0.7392
As 0.8563 0.1017 0.9949
As 0.9074 0.9671 0.4338
As 0.9117 0.2305 0.4464
As 0.9199 0.9733 0.1817
As 0.9233 0.6949 0.1779
As 0.9897 0.6276 0.8880

Calculated values
space-group type: Iba2
crystal system: orthorhombic
ΔH_f (0 K): -1084.3 meV per atom